#one
The following is a meta-GGA r2SCAN calculation of PmAs3 after structural relaxation, from the Materials Project.

abc: 4.406 4.406 4.406
angles: 90.00 90.00 90.00
Positions (direct):
Pm 0.000 0.000 0.000
As 0.000 0.500 0.500
As 0.500 0.000 0.500
As 0.500 0.500 0.000

## Properties
Size of the total moment in μB/cell: 0.000

#two
The following is a meta-GGA r2SCAN calculation of PmAs3 after structural relaxation, from the Materials Project.

abc: 5.847 5.847 5.847
angles: 138.59 138.59 60.01
Positions (direct):
Pm 0.000 0.000 0.000
As 0.750 0.250 0.500
As 0.250 0.750 0.500
As 0.500 0.500 0.000

## Properties
Size of the total moment in μB/cell: 0.000

Stability, lowest: #two

#one
The following is a meta-GGA r2SCAN calculation of Sc3As2 after structural relaxation, from the Materials Project.

abc: 10.364 10.364 3.869
angles: 90.00 90.00 90.00
Positions (direct):
Sc 0.135 0.807 0.500
Sc 0.865 0.193 0.500
Sc 0.193 0.135 0.500
Sc 0.807 0.865 0.500
Sc 0.395 0.717 0.000
Sc 0.605 0.283 0.000
Sc 0.283 0.395 0.000
Sc 0.717 0.605 0.000
Sc 0.000 0.500 0.500
Sc 0.500 0.000 0.500
Sc 0.500 0.500 0.500
Sc 0.000 0.000 0.000
As 0.254 0.581 0.500
As 0.746 0.419 0.500
As 0.419 0.254 0.500
As 0.581 0.746 0.500
As 0.276 0.950 0.000
As 0.724 0.050 0.000
As 0.050 0.276 0.000
As 0.950 0.724 0.000

## Properties
Size of the total moment in μB/cell: 4.063

#two
The following is a meta-GGA r2SCAN calculation of Sc3As2 after structural relaxation, from the Materials Project.

abc: 3.883 7.157 14.787
angles: 90.00 90.00 90.00
Positions (direct):
Sc 0.250 0.004 0.396
Sc 0.250 0.504 0.104
Sc 0.750 0.996 0.604
Sc 0.750 0.496 0.896
Sc 0.250 0.163 0.775
Sc 0.250 0.663 0.725
Sc 0.750 0.837 0.225
Sc 0.750 0.337 0.275
Sc 0.250 0.362 0.569
Sc 0.250 0.862 0.931
Sc 0.750 0.638 0.431
Sc 0.750 0.138 0.069
As 0.250 0.122 0.206
As 0.250 0.622 0.294
As 0.750 0.878 0.794
As 0.750 0.378 0.706
As 0.250 0.253 0.956
As 0.250 0.754 0.544
As 0.750 0.746 0.044
As 0.750 0.246 0.456

## Properties
Size of the total moment in μB/cell: 0.000

#three
The following is a meta-GGA r2SCAN calculation of Sc3As2 after structural relaxation, from the Materials Project.

abc: 3.831 10.436 10.339
angles: 90.00 90.00 90.00
Positions (direct):
Sc 0.750 0.952 0.867
Sc 0.250 0.048 0.133
Sc 0.750 0.452 0.633
Sc 0.250 0.548 0.367
Sc 0.750 0.628 0.936
Sc 0.250 0.372 0.064
Sc 0.750 0.128 0.564
Sc 0.250 0.872 0.436
Sc 0.750 0.776 0.203
Sc 0.250 0.224 0.797
Sc 0.750 0.276 0.297
Sc 0.250 0.724 0.703
As 0.750 0.687 0.505
As 0.250 0.313 0.495
As 0.750 0.187 0.995
As 0.250 0.813 0.005
As 0.750 0.514 0.178
As 0.250 0.486 0.822
As 0.750 0.014 0.322
As 0.250 0.986 0.678

## Properties
Size of the total moment in μB/cell: 3.481

Stability, lowest: #one